Dy3Ag4Sn4 | PBE | relaxed

extended XYZ file:
```
11
Lattice="-2.290 3.703 7.673 2.290 -3.703 7.673 2.290 3.703 -7.673" Properties=species:S:1:pos:R:3 pbc="T T T"
Dy 0.000 0.000 0.000
Dy 2.290 0.000 5.717
Dy 0.000 3.703 1.956
Ag 2.290 1.464 -2.629
Ag 2.290 1.464 2.629
Ag 0.000 2.239 5.043
Ag 0.000 2.239 10.302
Sn 0.000 0.000 3.311
Sn 2.290 2.249 0.000
Sn 0.000 1.454 7.673
Sn 0.000 0.000 12.034
```

## Properties
- E_form: -511 kJ/mol of formula units
- Magnetic moment: 0.003 μB/atom

=====

Er14Ag51 | PBE | relaxed

extended XYZ file:
```
65
Lattice="12.725 0.000 0.000 -6.362 11.020 0.000 0.000 0.000 9.350" Properties=species:S:1:pos:R:3 pbc="T T T"
Er 0.000 0.000 1.792
Er 0.000 0.000 7.558
Er -3.189 8.012 4.675
Er -1.205 5.149 0.000
Er 1.019 4.252 4.675
Er -1.300 9.489 0.000
Er 4.350 1.289 4.675
Er 3.850 3.632 0.000
Er 2.505 7.402 0.000
Er 2.171 9.776 4.675
Er 7.655 1.518 0.000
Er 5.303 6.608 4.675
Er 7.583 5.870 0.000
Er 9.434 3.123 4.675
Ag -4.473 9.055 0.000
Ag -0.727 2.959 2.447
Ag -0.727 2.959 6.903
Ag -2.898 7.336 1.563
Ag -2.898 7.336 7.787
Ag -1.678 5.453 3.261
Ag -1.678 5.453 6.089
Ag 1.594 0.224 4.675
Ag 0.757 2.619 0.000
Ag -3.436 10.170 2.447
Ag -3.436 10.170 6.903
Ag 2.652 0.663 0.000
Ag 2.148 2.088 2.508
Ag 2.148 2.088 6.842
Ag 0.000 7.347 1.821
Ag 0.000 7.347 4.675
Ag 0.000 7.347 7.529
Ag 1.459 4.842 1.563
Ag 1.459 4.842 7.787
Ag -0.801 9.746 3.261
Ag -0.801 9.746 6.089
Ag 4.934 1.164 1.558
Ag 4.934 1.164 7.792
Ag 3.866 4.164 3.256
Ag 3.866 4.164 6.094
Ag 2.478 6.840 3.261
Ag 2.478 6.840 6.089
Ag 1.440 9.862 1.563
Ag 1.440 9.862 7.787
Ag 7.186 1.266 3.256
Ag 7.186 1.266 6.094
Ag 4.903 6.165 1.558
Ag 4.903 6.165 7.792
Ag 6.362 3.673 1.819
Ag 6.362 3.673 4.675
Ag 6.362 3.673 7.531
Ag 4.164 8.911 2.447
Ag 4.164 8.911 6.903
Ag 3.716 10.366 0.000
Ag 9.842 0.816 2.508
Ag 9.842 0.816 6.842
Ag 5.611 8.392 0.000
Ag 8.035 5.590 3.256
Ag 8.035 5.590 6.094
Ag 5.759 9.527 4.675
Ag 9.250 3.691 1.558
Ag 9.250 3.691 7.792
Ag 7.097 8.116 2.508
Ag 7.097 8.116 6.842
Ag 10.824 1.965 0.000
Ag 11.734 1.269 4.675
```

## Properties
- E_form: -1476 kJ/mol of formula units
- Magnetic moment: 0.007 μB/atom

=====

ErAg | PBE | relaxed

extended XYZ file:
```
2
Lattice="3.613 0.000 0.000 0.000 3.613 0.000 0.000 0.000 3.613" Properties=species:S:1:pos:R:3 pbc="T T T"
Er 0.000 0.000 0.000
Ag 1.806 1.806 1.806
```

## Properties
- E_form: -67 kJ/mol of formula units

=====

ErAgGe | PBE | relaxed

extended XYZ file:
```
9
Lattice="7.134 0.000 0.000 -3.567 6.178 0.000 0.000 0.000 4.198" Properties=species:S:1:pos:R:3 pbc="T T T"
Er -2.083 3.607 0.000
Er 1.484 2.571 0.000
Er 4.165 0.000 0.000
Ag -0.896 1.553 2.099
Ag 1.793 0.000 2.099
Ag 2.671 4.626 2.099
Ge 0.000 0.000 0.000
Ge 0.000 4.119 2.099
Ge 3.567 2.059 2.099
```

## Properties
- E_form: -186 kJ/mol of formula units

=====

ErAgGe | PBE | relaxed

extended XYZ file:
```
9
Lattice="7.327 0.000 0.000 -3.664 6.346 0.000 0.000 0.000 4.097" Properties=species:S:1:pos:R:3 pbc="T T T"
Er -2.211 3.830 0.000
Er 1.452 2.516 0.000
Er 4.422 0.000 0.000
Ag 0.000 0.000 0.000
Ag 0.000 4.230 2.048
Ag 3.664 2.115 2.048
Ge -0.983 1.702 2.048
Ge 1.965 0.000 2.048
Ge 2.681 4.644 2.048
```

## Properties
- E_form: -118 kJ/mol of formula units
- Magnetic moment: 0.000 μB/atom

=====

Er6AgGe2S14 | PBE | relaxed

extended XYZ file:
```
23
Lattice="9.751 0.000 0.000 -4.875 8.444 0.000 0.000 0.000 5.866" Properties=species:S:1:pos:R:3 pbc="T T T"
Er -2.073 4.005 0.000
Er 2.072 1.624 2.929
Er -0.370 8.238 0.000
Er 2.444 4.646 0.000
Er 7.308 0.982 2.929
Er 5.246 5.838 2.929
Ag 4.875 2.815 1.692
Ge 0.000 0.000 5.423
Ge 0.000 5.630 2.476
S 0.000 0.000 1.774
S -0.253 2.017 4.469
S -3.003 7.655 4.469
S -1.869 6.420 1.520
S 0.250 3.616 1.520
S 0.000 5.630 4.697
S 2.849 1.909 0.320
S 4.628 0.623 3.239
S 3.101 4.125 3.239
S 1.619 6.853 1.520
S 3.255 7.217 4.469
S 6.673 1.512 0.320
S 5.105 5.023 0.320
S 6.897 3.696 3.239
```

## Properties
- E_form: -3772 kJ/mol of formula units
- Magnetic moment: 0.044 μB/atom
- MP2020-corrected energy: -136.5 eV per cell

=====

ErAgHg2 | PBE | relaxed

extended XYZ file:
```
4
Lattice="0.000 3.538 3.538 3.538 0.000 3.538 3.538 3.538 0.000" Properties=species:S:1:pos:R:3 pbc="T T T"
Er 0.000 0.000 0.000
Ag 3.538 3.538 3.538
Hg 1.769 1.769 1.769
Hg 5.307 5.307 5.307
```

## Properties
- E_form: -124 kJ/mol of formula units

=====

Er2AgHg | PBE | relaxed

extended XYZ file:
```
4
Lattice="0.000 3.650 3.650 3.650 0.000 3.650 3.650 3.650 0.000" Properties=species:S:1:pos:R:3 pbc="T T T"
Er 1.825 1.825 1.825
Er 5.475 5.475 5.475
Ag 0.000 0.000 0.000
Hg 3.650 3.650 3.650
```

## Properties
- E_form: -159 kJ/mol of formula units